Record 1
Density functional theory data (PBE) for a geometry-optimized Hf2InPd2 structure. Values from VASP.

Results
* V: 19.3 A^3/atom
* formation enthalpy at 0 K: -0.65 eV per atom
* SG: No. 136
* crystal system: tetragonal

Quantum ESPRESSO input file:
```
&SYSTEM
  ibrav = 0, nat = 20, ntyp = 3
/
ATOMIC_SPECIES
Hf 178.49 Hf.upf
In 114.82 In.upf
Pd 106.42 Pd.upf
CELL_PARAMETERS angstrom
7.545 0.000 0.000
0.000 7.545 0.000
0.000 0.000 6.765
ATOMIC_POSITIONS crystal
Hf 0.154 0.154 0.000
Hf 0.181 0.181 0.500
Hf 0.319 0.681 0.000
Hf 0.346 0.654 0.500
Hf 0.654 0.346 0.500
Hf 0.681 0.319 0.000
Hf 0.819 0.819 0.500
Hf 0.846 0.846 0.000
In 0.000 0.500 0.250
In 0.000 0.500 0.750
In 0.500 0.000 0.250
In 0.500 0.000 0.750
Pd 0.130 0.870 0.277
Pd 0.130 0.870 0.723
Pd 0.370 0.370 0.223
Pd 0.370 0.370 0.777
Pd 0.630 0.630 0.223
Pd 0.630 0.630 0.777
Pd 0.870 0.130 0.277
Pd 0.870 0.130 0.723
```

Record 2
Density functional theory data (PBE) for a geometry-optimized HfInPt2 structure. Values from VASP.

Results
* V: 18.7 A^3/atom
* formation enthalpy at 0 K: -0.81 eV per atom
* SG: No. 123
* crystal system: tetragonal

Quantum ESPRESSO input file:
```
&SYSTEM
  ibrav = 0, nat = 4, ntyp = 3
/
ATOMIC_SPECIES
Hf 178.49 Hf.upf
In 114.82 In.upf
Pt 195.08 Pt.upf
CELL_PARAMETERS angstrom
3.370 0.000 0.000
0.000 3.370 0.000
0.000 0.000 6.601
ATOMIC_POSITIONS crystal
Hf 0.000 0.000 0.000
In 0.000 0.000 0.500
Pt 0.500 0.500 0.225
Pt 0.500 0.500 0.775
```

Record 3
Density functional theory data (PBE) for a geometry-optimized HfInRh2 structure. Values from VASP.

Results
* V: 17.1 A^3/atom
* formation enthalpy at 0 K: -0.76 eV per atom
* SG: No. 225
* crystal system: cubic

Quantum ESPRESSO input file:
```
&SYSTEM
  ibrav = 0, nat = 4, ntyp = 3
/
ATOMIC_SPECIES
Hf 178.49 Hf.upf
In 114.82 In.upf
Rh 102.91 Rh.upf
CELL_PARAMETERS angstrom
0.000 3.248 3.248
3.248 0.000 3.248
3.248 3.248 0.000
ATOMIC_POSITIONS crystal
Hf 0.000 0.000 0.000
In 0.500 0.500 0.500
Rh 0.250 0.250 0.250
Rh 0.750 0.750 0.750
```

Record 4
Density functional theory data (PBE) for a geometry-optimized Hf5In4Rh2 structure. Values from VASP.

Results
* V: 21.1 A^3/atom
* formation enthalpy at 0 K: -0.45 eV per atom
* SG: No. 55
* crystal system: orthorhombic

Quantum ESPRESSO input file:
```
&SYSTEM
  ibrav = 0, nat = 22, ntyp = 3
/
ATOMIC_SPECIES
Hf 178.49 Hf.upf
In 114.82 In.upf
Rh 102.91 Rh.upf
CELL_PARAMETERS angstrom
7.723 0.000 0.000
0.000 17.649 0.000
0.000 0.000 3.399
ATOMIC_POSITIONS crystal
Hf 0.000 0.000 0.000
Hf 0.136 0.420 0.000
Hf 0.241 0.722 0.000
Hf 0.259 0.222 0.000
Hf 0.364 0.920 0.000
Hf 0.500 0.500 0.000
Hf 0.636 0.080 0.000
Hf 0.741 0.778 0.000
Hf 0.759 0.278 0.000
Hf 0.864 0.580 0.000
In 0.063 0.851 0.500
In 0.201 0.567 0.500
In 0.299 0.067 0.500
In 0.437 0.351 0.500
In 0.563 0.649 0.500
In 0.701 0.933 0.500
In 0.799 0.433 0.500
In 0.937 0.149 0.500
Rh 0.048 0.307 0.500
Rh 0.452 0.807 0.500
Rh 0.548 0.193 0.500
Rh 0.952 0.693 0.500
```

Record 5
Density functional theory data (PBE) for a geometry-optimized Hf10In3Sb3 structure. Values from VASP.

Results
* V: 22.4 A^3/atom
* formation enthalpy at 0 K: -0.34 eV per atom
* SG: No. 189
* crystal system: hexagonal

Quantum ESPRESSO input file:
```
&SYSTEM
  ibrav = 0, nat = 16, ntyp = 3
/
ATOMIC_SPECIES
Hf 178.49 Hf.upf
In 114.82 In.upf
Sb 121.76 Sb.upf
CELL_PARAMETERS angstrom
8.479 0.000 0.000
-4.239 7.343 0.000
0.000 0.000 5.749
ATOMIC_POSITIONS crystal
Hf 0.000 0.248 0.000
Hf 0.000 0.752 0.500
Hf 0.248 0.000 0.000
Hf 0.248 0.248 0.500
Hf 0.333 0.667 0.250
Hf 0.333 0.667 0.750
Hf 0.667 0.333 0.250
Hf 0.667 0.333 0.750
Hf 0.752 0.000 0.500
Hf 0.752 0.752 0.000
In 0.000 0.391 0.500
In 0.391 0.000 0.500
In 0.609 0.609 0.500
Sb 0.000 0.610 0.000
Sb 0.390 0.390 0.000
Sb 0.610 0.000 0.000
```

Record 6
Density functional theory data (PBE) for a geometry-optimized HfIr3 structure. Values from VASP.

Results
* V: 15.6 A^3/atom
* formation enthalpy at 0 K: -0.82 eV per atom
* SG: No. 221
* crystal system: cubic

Quantum ESPRESSO input file:
```
&SYSTEM
  ibrav = 0, nat = 4, ntyp = 2
/
ATOMIC_SPECIES
Hf 178.49 Hf.upf
Ir 192.22 Ir.upf
CELL_PARAMETERS angstrom
3.968 0.000 0.000
0.000 3.968 0.000
0.000 0.000 3.968
ATOMIC_POSITIONS crystal
Hf 0.000 0.000 0.000
Ir 0.000 0.500 0.500
Ir 0.500 0.000 0.500
Ir 0.500 0.500 0.000
```

Record 7
Density functional theory data (PBE) for a geometry-optimized LiHf2Ir structure. Values from VASP.

Results
* V: 17.5 A^3/atom
* formation enthalpy at 0 K: -0.54 eV per atom
* SG: No. 225
* crystal system: cubic

Quantum ESPRESSO input file:
```
&SYSTEM
  ibrav = 0, nat = 4, ntyp = 3
/
ATOMIC_SPECIES
Li 6.94 Li.upf
Hf 178.49 Hf.upf
Ir 192.22 Ir.upf
CELL_PARAMETERS angstrom
0.000 3.272 3.272
3.272 0.000 3.272
3.272 3.272 0.000
ATOMIC_POSITIONS crystal
Li 0.000 0.000 0.000
Hf 0.250 0.250 0.250
Hf 0.750 0.750 0.750
Ir 0.500 0.500 0.500
```

Record 8
Density functional theory data (PBE) for a geometry-optimized LuHfIr2 structure. Values from VASP.

Results
* V: 18.2 A^3/atom
* formation enthalpy at 0 K: -0.94 eV per atom
* SG: No. 225
* crystal system: cubic

Quantum ESPRESSO input file:
```
&SYSTEM
  ibrav = 0, nat = 4, ntyp = 3
/
ATOMIC_SPECIES
Lu 174.97 Lu.upf
Hf 178.49 Hf.upf
Ir 192.22 Ir.upf
CELL_PARAMETERS angstrom
0.000 3.317 3.317
3.317 0.000 3.317
3.317 3.317 0.000
ATOMIC_POSITIONS crystal
Lu 0.000 0.000 0.000
Hf 0.500 0.500 0.500
Ir 0.250 0.250 0.250
Ir 0.750 0.750 0.750
```

- Which formula does entry 3 have?
  HfInRh2